{"formula": "CsTi2Cl7", "functional": "GGA-PBE", "state": "optimized geometry", "total_energy_ev_per_atom": -4.6512, "de_polymorph_mev_per_atom": 25, "sg": "No. 13", "delta_e_f_mev_per_atom": -2118, "lattice": [[6.361, 0.000, 0.000], [0.000, 7.294, 0.000], [0.000, 0.410, 12.266]], "species": ["Cl", "Cl", "Cl", "Cl", "Cl", "Cl", "Cl", "Cl", "Cl", "Cl", "Cl", "Cl", "Cl", "Cl", "Ti", "Ti", "Ti", "Ti", "Cs", "Cs"], "fractional_positions": [[0.423, 0.791, 0.502], [0.130, 0.650, 0.879], [0.577, 0.209, 0.498], [0.423, 0.209, 0.998], [0.130, 0.350, 0.621], [0.406, 0.000, 0.750], [0.577, 0.791, 0.002], [0.931, 0.111, 0.889], [0.069, 0.111, 0.389], [0.069, 0.889, 0.111], [0.870, 0.650, 0.379], [0.931, 0.889, 0.611], [0.594, 0.000, 0.250], [0.870, 0.350, 0.121], [0.241, 0.068, 0.569], [0.241, 0.932, 0.931], [0.759, 0.068, 0.069], [0.759, 0.932, 0.431], [0.374, 0.500, 0.250], [0.626, 0.500, 0.750]]}